1 | The following is a DFT calculation (GGA+U) of a relaxed MgCr2O4 crystal.

Summary:
* symmetry: No. 156

Geometry as extended XYZ:
```
42
Lattice="-0.295 5.274 -2.814 -2.304 -0.595 5.491 12.933 3.842 5.844" Properties=species:S:1:pos:R:3 pbc="T T T"
Mg 3.891 4.760 2.149
Mg 11.912 7.143 5.773
Mg 2.141 2.483 4.429
Mg 7.117 5.718 3.606
Mg 9.187 2.729 4.151
Mg 12.330 3.663 5.571
O 1.190 1.242 5.673
O -0.255 5.246 0.461
O 11.248 5.274 5.292
O 7.668 5.760 7.104
O 3.580 5.672 3.891
O 6.298 2.073 6.129
O -0.114 2.733 1.802
O 1.029 4.118 4.139
O 7.408 2.201 3.347
O 10.043 7.444 6.534
O 5.111 4.208 7.351
O 7.802 3.367 8.380
O 10.108 4.850 8.029
O 8.848 3.637 5.889
O 4.994 3.127 2.435
O 1.218 0.362 0.550
O 2.118 4.233 1.347
O 11.111 7.720 3.987
O 3.894 3.004 5.221
O 0.984 3.016 -0.814
O 2.446 1.567 2.679
O 8.866 6.238 4.397
O 4.833 5.996 0.904
O 6.163 4.480 4.845
Cr 4.357 4.942 5.625
Cr 5.656 2.604 4.288
Cr 6.994 3.925 6.622
Cr -1.066 1.530 2.980
Cr 0.378 4.646 2.304
Cr 9.476 5.547 6.197
Cr 4.326 1.285 1.955
Cr 1.687 2.291 0.956
Cr 1.538 4.946 -0.460
Cr 9.329 8.165 4.800
Cr 4.505 2.307 7.031
Cr 10.620 5.842 3.471
```



2 | The following is a DFT calculation (GGA+U) of a relaxed MgCr2O4 crystal.

Summary:
* symmetry: No. 62

Geometry as extended XYZ:
```
28
Lattice="-2.153 -1.536 -1.278 4.989 -0.861 -7.372 4.094 -8.912 3.811" Properties=species:S:1:pos:R:3 pbc="T T T"
O 2.764 -8.645 0.668
O 2.254 -3.501 -1.278
O 1.896 -3.504 -4.047
O 6.709 -10.178 -4.138
O 4.676 -7.807 -3.561
O 5.461 -10.309 -1.877
O 4.148 -4.680 -3.053
O 2.781 -6.628 -1.786
O 5.741 -5.301 -4.993
O 7.224 -7.573 -4.761
O 0.220 -1.130 -0.701
O 5.033 -7.804 -0.792
O 1.188 -6.007 0.153
O 4.165 -2.663 -5.507
O 1.468 -0.999 -2.962
O -0.295 -3.735 -0.078
Mg 6.600 -8.545 -2.542
Mg 0.329 -2.764 -2.298
Mg 3.597 -4.877 -5.264
Mg 3.332 -6.431 0.425
Cr 2.804 -1.791 -4.260
Cr 2.151 -4.942 -2.751
Cr 3.559 -3.007 -7.448
Cr 5.401 -7.296 -5.399
Cr 4.778 -6.366 -2.089
Cr 3.370 -8.301 2.609
Cr 4.125 -9.517 -0.579
Cr 1.528 -4.013 0.560
```



How far above the most stable structure does each one sit? In eV/atom: 1 0.000; 2 0.081.